Entry 1:
Computed, not measured: crystalline K2CuF4 at its relaxed geometry at the r2SCAN level of DFT.

The value obtained for the raw total energy is -7.604 eV/atom.

a = 5.8145 Å, b = 5.8145 Å, c = 25.3860 Å
α = 90.00°, β = 90.00°, γ = 90.00°
Space group I4_1/acd (No. 142, origin choice 2)
Inequivalent atoms, fractional coordinates:
K (0.0000, 0.2500, 0.3040) (multiplicity 16)
Cu (0.0000, 0.2500, 0.1250) (multiplicity 8)
F (0.0000, 0.2500, 0.0483) (multiplicity 16)
F (0.2318, 0.0182, 0.1250) (multiplicity 16)

Entry 2:
Computed, not measured: crystalline K2CuF4 at its relaxed geometry at the r2SCAN level of DFT.

The value obtained for the raw total energy is -7.589 eV/atom.

a = 4.0861 Å, b = 4.0861 Å, c = 12.6733 Å
α = 90.00°, β = 90.00°, γ = 90.00°
Space group I4/mmm (No. 139)
Inequivalent atoms, fractional coordinates:
K (0.0000, 0.0000, 0.1421) (multiplicity 4)
Cu (0.0000, 0.0000, 0.5000) (multiplicity 2)
F (0.0000, 0.0000, 0.3473) (multiplicity 4)
F (0.0000, 0.5000, 0.0000) (multiplicity 4)

Entry 3:
Computed, not measured: crystalline K3Cu2F7 at its relaxed geometry at the r2SCAN level of DFT.

The value obtained for the raw total energy is -7.593 eV/atom.

a = 4.0072 Å, b = 4.0072 Å, c = 20.9675 Å
α = 90.00°, β = 90.00°, γ = 90.00°
Space group I4/mmm (No. 139)
Inequivalent atoms, fractional coordinates:
K (0.0000, 0.0000, 0.0000) (multiplicity 2)
K (0.0000, 0.0000, 0.1843) (multiplicity 4)
Cu (0.0000, 0.0000, 0.4044) (multiplicity 4)
F (0.0000, 0.0000, 0.3088) (multiplicity 4)
F (0.0000, 0.0000, 0.5000) (multiplicity 2)
F (0.0000, 0.5000, 0.0944) (multiplicity 8)

- Which formula does entry 3 have?
  K3Cu2F7

- The lowest raw total energy belongs to which entry?
  number 1

- Number 1 is which compound?
  K2CuF4